Na2TaGaSi2SO12 (PBE-GGA, optimized geometry); VASP energy = -7.04 eV per atom
1.0
8.8495 0.0455 -0.1157
-4.3854 7.6867 0.1157
-0.2968 0.1713 22.5461
O Na Ta Ga Si S
72 12 6 6 12 6
direct
0.3047 0.4531 0.4706 O
0.1765 0.9693 0.1969 O
0.8802 0.3619 0.6372 O
0.8006 0.9706 0.6907 O
0.3071 0.4856 0.7575 O
0.6898 0.5180 0.2455 O
0.8313 0.8161 0.5910 O
0.1646 0.4828 0.2576 O
0.3627 0.8660 0.8574 O
0.8310 0.0213 0.8089 O
0.6960 0.5327 0.5241 O
0.3565 0.8513 0.5789 O
0.4965 0.8583 0.3598 O
0.3581 0.5116 0.0755 O
0.5469 0.6953 0.9706 O
0.1487 0.6435 0.0789 O
0.4884 0.6419 0.5755 O
0.4979 0.1495 0.9243 O
0.0294 0.1994 0.1907 O
0.9714 0.7864 0.8039 O
0.3121 0.8357 0.9756 O
0.8432 0.3026 0.5302 O
0.8296 0.7831 0.3092 O
0.6328 0.5040 0.9217 O
0.9787 0.1690 0.3089 O
0.1629 0.4498 0.9759 O
0.2995 0.8373 0.2551 O
0.8299 0.5249 0.0265 O
0.8217 0.3086 0.2422 O
0.9738 0.8189 0.0909 O
0.1811 0.0262 0.5909 O
0.1643 0.6879 0.4756 O
0.6914 0.1783 0.7422 O
0.5172 0.8354 0.7576 O
0.7996 0.8179 0.9093 O
0.1329 0.4845 0.5759 O
0.9662 0.1706 0.5884 O
0.6454 0.5024 0.6423 O
0.5502 0.8371 0.4759 O
0.8477 0.3596 0.9242 O
0.8084 0.8368 0.1932 O
0.4751 0.1701 0.5265 O
0.4663 0.1512 0.2426 O
0.4960 0.3672 0.4217 O
0.3641 0.4902 0.3636 O
0.1839 0.1687 0.0910 O
0.0307 0.8235 0.6969 O
0.1632 0.1916 0.6932 O
0.5098 0.6359 0.8636 O
0.4976 0.3546 0.1423 O
0.1551 0.9753 0.9089 O
0.2136 0.0286 0.3039 O
0.1821 0.2004 0.4093 O
0.4963 0.1165 0.6426 O
0.0232 0.1846 0.9122 O
0.6404 0.1523 0.4242 O
0.4820 0.3102 0.7455 O
0.5155 0.8671 0.0759 O
0.8835 0.5037 0.1426 O
0.6381 0.1198 0.1372 O
0.1417 0.5035 0.8598 O
0.6974 0.1568 0.0302 O
0.0247 0.8449 0.4089 O
0.8294 0.0338 0.0884 O
0.5144 0.6929 0.2575 O
0.8154 0.9768 0.4122 O
0.4673 0.3040 0.0241 O
0.1627 0.7005 0.7551 O
0.1340 0.6373 0.3574 O
0.2169 0.1704 0.8092 O
0.8488 0.5337 0.7426 O
0.8505 0.5021 0.4243 O
0.0056 0.9921 0.9953 Na
0.3761 0.0135 0.7498 Na
0.0428 0.3468 0.0831 Na
0.9865 0.6239 0.2498 Na
0.7094 0.6802 0.4165 Na
0.3389 0.6588 0.6620 Na
0.6723 0.3255 0.3286 Na
0.3412 0.6611 0.1620 Na
0.6532 0.9572 0.5831 Na
0.0079 0.9944 0.4953 Na
0.6745 0.3277 0.8286 Na
0.3198 0.2906 0.9165 Na
0.3339 0.6689 0.8123 Ta
0.3311 0.6661 0.3123 Ta
0.9978 0.9995 0.6456 Ta
0.6672 0.3355 0.4789 Ta
0.6645 0.3328 0.9789 Ta
0.0005 0.0022 0.1456 Ta
0.3494 0.6998 0.5190 Ga
0.0160 0.0332 0.8524 Ga
0.9668 0.9840 0.3524 Ga
0.6827 0.3665 0.1857 Ga
0.6335 0.3173 0.6857 Ga
0.3002 0.6506 0.0190 Ga
0.6571 0.6153 0.5842 Si
0.3847 0.3429 0.0842 Si
0.7063 0.7081 0.2509 Si
0.9586 0.6270 0.0842 Si
0.3238 0.9486 0.9175 Si
0.2919 0.2937 0.7509 Si
0.9905 0.2819 0.2509 Si
0.0397 0.3748 0.9175 Si
0.3730 0.0414 0.5842 Si
0.7181 0.0095 0.7509 Si
0.0514 0.6762 0.4175 Si
0.6252 0.9603 0.4175 Si
0.6589 0.0399 0.0851 S
0.2934 0.0077 0.2518 S
0.9601 0.3411 0.5851 S
0.9923 0.7066 0.7518 S
0.6268 0.6744 0.9184 S
0.3256 0.3732 0.4184 S